Computed, not measured: SmTe after structural relaxation at the PBE-GGA level of DFT.

Computed properties:
Formation energy from the elements ... -154 kJ/mol of atoms

Lattice parameters (Å, degrees): 4.4440 4.4440 4.4440 60.00 60.00 60.00
Last column: nearest neighbours and their distance in Å.
Atoms (fractional coordinates):
1 Te 0.5000 0.5000 0.5000  6 Sm 3.14
2 Sm 0.0000 0.0000 0.0000  6 Te 3.14

Computed, not measured: Sm3Te4 after structural relaxation at the PBE-GGA level of DFT.

Computed properties:
Formation energy from the elements ... -157 kJ/mol of atoms

Lattice parameters (Å, degrees): 8.1956 8.1956 8.1956 109.47 109.47 109.47
Last column: nearest neighbours and their distance in Å.
Atoms (fractional coordinates):
1 Sm 0.6250 0.3750 0.2500  8 Te 3.17-3.38
2 Sm 0.2500 0.6250 0.3750  8 Te 3.17-3.38
3 Sm 0.1250 0.7500 0.8750  8 Te 3.17-3.38
4 Sm 0.7500 0.8750 0.1250  8 Te 3.17-3.38
5 Sm 0.8750 0.1250 0.7500  8 Te 3.17-3.38
6 Sm 0.3750 0.2500 0.6250  8 Te 3.17-3.38
7 Te 0.1464 0.1464 0.1464  6 Sm 3.17-3.38
8 Te 0.6464 0.6464 0.6464  6 Sm 3.17-3.38
9 Te 0.5000 0.0000 0.8536  6 Sm 3.17-3.38
10 Te 0.3536 0.5000 0.0000  6 Sm 3.17-3.38
11 Te 0.8536 0.5000 0.0000  6 Sm 3.17-3.38
12 Te 0.5000 0.0000 0.3536  6 Sm 3.17-3.38
13 Te 0.0000 0.3536 0.5000  6 Sm 3.17-3.38
14 Te 0.0000 0.8536 0.5000  6 Sm 3.17-3.38

Computed, not measured: SmTl9Te6 after structural relaxation at the PBE-GGA level of DFT.

Computed properties:
Formation energy from the elements ... -63 kJ/mol of atoms
Total magnetic moment ... 0.000 μB per atom

Lattice parameters (Å, degrees): 9.0458 9.0458 9.3146 119.05 119.05 90.00
Last column: nearest neighbours and their distance in Å.
Atoms (fractional coordinates):
1 Tl 0.4818 0.9970 0.6834  3 Te 3.24-3.59, 1 Tl 3.61
2 Tl 0.9970 0.2016 0.6834  3 Te 3.24-3.59, 1 Tl 3.61
3 Tl 0.5182 0.0030 0.3166  3 Te 3.24-3.59, 1 Tl 3.61
4 Tl 0.0030 0.7984 0.3166  3 Te 3.24-3.59, 1 Tl 3.61
5 Tl 0.3136 0.5182 0.3166  3 Te 3.24-3.59, 1 Tl 3.61
6 Tl 0.7984 0.3136 0.3166  3 Te 3.24-3.59, 1 Tl 3.61
7 Tl 0.6864 0.4818 0.6834  3 Te 3.24-3.59, 1 Tl 3.61
8 Tl 0.5000 0.5000 0.0000  6 Te 3.55-3.58
9 Tl 0.2016 0.6864 0.6834  3 Te 3.24-3.59, 1 Tl 3.61
10 Te 0.6775 0.8499 0.0000  1 Sm 3.22, 7 Tl 3.24-3.59
11 Te 0.1501 0.6775 0.0000  1 Sm 3.22, 7 Tl 3.24-3.59
12 Te 0.8499 0.3225 0.0000  1 Sm 3.22, 7 Tl 3.24-3.59
13 Te 0.3225 0.1501 0.0000  1 Sm 3.22, 7 Tl 3.24-3.59
14 Te 0.7641 0.7641 0.5282  1 Sm 3.19, 1 Tl 3.58
15 Te 0.2359 0.2359 0.4718  1 Sm 3.19, 1 Tl 3.58
16 Sm 0.0000 0.0000 0.0000  6 Te 3.19-3.22

Computed, not measured: SmUTe6 after structural relaxation at the PBE-GGA level of DFT.

Computed properties:
Formation energy from the elements ... -103 kJ/mol of atoms

Lattice parameters (Å, degrees): 12.9749 12.9749 4.3932 90.00 90.00 160.61
Last column: nearest neighbours and their distance in Å.
Atoms (fractional coordinates):
1 Te 0.7019 0.2981 0.0000  4 U 3.24, 1 Sm 3.33
2 Te 0.4293 0.5707 0.0000  4 Te 3.10, 2 Sm 3.31
3 Te 0.2918 0.7082 0.5000  1 U 3.23, 4 Sm 3.27
4 Te 0.9296 0.0704 0.5000  4 Te 3.10, 2 Sm 3.32
5 Te 0.0750 0.9250 0.0000  4 Te 3.10, 2 U 3.19
6 Te 0.5750 0.4250 0.5000  4 Te 3.10, 2 U 3.18
7 U 0.1654 0.8346 0.5000  9 Te 3.18-3.24
8 Sm 0.8320 0.1680 0.0000  9 Te 3.27-3.33